# 1
Entry from the Materials Project: crystalline ZnMo6O16 at its relaxed geometry (PBE with a Hubbard U).

Calculated values
Volume, Å³ per cell: 316.8
Formation energy from the elements, eV/atom: -1.727
Spin magnetization, μB/f.u.: 6.00
Corrected total energy (MP2020 scheme), eV per atom: -8.05

Unit cell a=6.1870 b=6.1870 c=9.5577 alpha=90.00 beta=90.00 gamma=120.00
Space group P3m1 (No. 156)
One atom of each set of equivalent atoms:
Zn  0.0000  0.0000  0.0000
Mo  0.1671  0.3343  0.2900
Mo  0.5026  0.0051  0.7860
O  0.0000  0.0000  0.4013
O  0.0329  0.5164  0.3901
O  0.1753  0.3507  0.8941
O  0.2800  0.1400  0.1707
O  0.3333  0.6667  0.1756
O  0.3333  0.6667  0.6831
O  0.3782  0.1891  0.6811
O  0.6667  0.3333  0.9038

***

# 2
Entry from the Materials Project: crystalline Li9Co7O16 at its relaxed geometry (PBE with a Hubbard U).

Calculated values
Volume, Å³ per cell: 549.5
Formation energy from the elements, eV/atom: -1.726
Spin magnetization, μB/f.u.: 2.00
Distance to the lowest polymorph of the same formula, eV per atom: 0.029
Corrected total energy (MP2020 scheme), eV per atom: -6.29

Unit cell a=19.419 b=5.760 c=4.988 alpha=90.00 beta=100.02 gamma=90.00
Space group C2/m (No. 12)
One atom of each set of equivalent atoms:
Li  0.000  0.000  0.000
Li  0.120  0.000  0.750
Li  0.121  0.245  0.250
Li  0.122  0.500  0.745
Co  0.000  0.246  0.500
Co  0.000  0.500  0.000
Co  0.249  0.000  0.500
Co  0.250  0.250  0.000
O  0.053  0.500  0.365
O  0.055  0.000  0.397
O  0.055  0.269  0.861
O  0.192  0.000  0.148
O  0.192  0.251  0.619
O  0.194  0.500  0.147

***

# 3
Entry from the Materials Project: crystalline Ba2CaFe2CuF14 at its relaxed geometry (PBE with a Hubbard U).

Calculated values
Volume, Å³ per cell: 1154.4
Formation energy from the elements, eV/atom: -3.247
Spin magnetization, μB/f.u.: 11.00
Corrected total energy (MP2020 scheme), eV per atom: -5.93

Unit cell a=14.071 b=5.448 c=15.064 alpha=90.00 beta=91.56 gamma=90.00
Space group C2/c (No. 15)
One atom of each set of equivalent atoms:
Ba  0.188  0.069  0.123
Ca  0.000  0.420  0.750
Fe  0.121  0.026  0.375
Cu  0.000  0.500  0.000
F  0.008  0.077  0.656
F  0.052  0.437  0.116
F  0.084  0.214  0.481
F  0.120  0.296  0.290
F  0.139  0.260  0.955
F  0.161  0.199  0.778
F  0.247  0.408  0.597

***

# 4
Entry from the Materials Project: crystalline FeSnO6 at its relaxed geometry (PBE with a Hubbard U).

Calculated values
Volume, Å³ per cell: 456.4
Formation energy from the elements, eV/atom: -0.672
Spin magnetization, μB/f.u.: 6.33
Distance to the lowest polymorph of the same formula, eV per atom: 0.003
Corrected total energy (MP2020 scheme), eV per atom: -5.94

Unit cell a=7.699 b=7.699 c=7.699 alpha=90.00 beta=90.00 gamma=90.00
Space group Fm-3m (No. 225)
One atom of each set of equivalent atoms:
Fe  0.000  0.000  0.000
Sn  0.000  0.000  0.500
O  0.000  0.000  0.237

***

# 5
Entry from the Materials Project: crystalline K2LiMn2O4 at its relaxed geometry (PBE with a Hubbard U).

Calculated values
Volume, Å³ per cell: 275.6
Formation energy from the elements, eV/atom: -1.807
Spin magnetization, μB/f.u.: 0.00
Distance to the lowest polymorph of the same formula, eV per atom: 0.000
Corrected total energy (MP2020 scheme), eV per atom: -6.50

Unit cell a=6.457 b=6.507 c=6.593 alpha=94.27 beta=92.31 gamma=93.17
Space group P-1 (No. 2)
One atom of each set of equivalent atoms:
K  0.000  0.000  0.000
K  0.021  0.483  0.749
K  0.500  0.500  0.500
Li  0.354  0.136  0.259
Mn  0.183  0.914  0.537
Mn  0.415  0.692  0.029
O  0.129  0.205  0.457
O  0.280  0.827  0.241
O  0.331  0.401  0.073
O  0.340  0.818  0.784

***

# 6
Entry from the Materials Project: crystalline MgMn6O6F6 at its relaxed geometry (PBE with a Hubbard U).

Calculated values
Volume, Å³ per cell: 241.7
Formation energy from the elements, eV/atom: -2.443
Spin magnetization, μB/f.u.: 26.00
Distance to the lowest polymorph of the same formula, eV per atom: 0.018
Corrected total energy (MP2020 scheme), eV per atom: -7.59

Unit cell a=5.380 b=3.076 c=14.816 alpha=90.00 beta=99.57 gamma=90.00
Space group P2 (No. 3)
One atom of each set of equivalent atoms:
Mg  0.000  0.000  0.000
Mn  0.014  0.510  0.344
Mn  0.400  0.997  0.208
Mn  0.500  0.030  0.500
Mn  0.500  0.501  0.000
O  0.114  0.971  0.274
O  0.327  0.530  0.434
O  0.373  0.002  0.068
F  0.105  0.500  0.927
F  0.158  0.050  0.596
F  0.354  0.498  0.752